## Li9Mn2Co5O16 (PBE with a Hubbard U)

Data for Li9Mn2Co5O16 after structural relaxation.

Its total energy after the MP2020 corrections is -6.5294 eV/atom. The volume is 290.4 Å³ per cell. The calculated formation energy comes out at -1835 meV/atom. The value obtained for the mass density is 4.1 g cm⁻³.

abc: 5.1045 5.1099 11.4463
angles: 80.14 85.12 81.51
Closest atoms and distances in Å follow each position.
Fractional coordinates of all 32 atoms:
Li 0.7525 0.3121 0.6921  6 O 2.04-2.24
Li 0.7474 0.5640 0.4357  6 O 2.10-2.25
Li 0.2526 0.4360 0.5643  6 O 2.10-2.25
Li 0.2475 0.6879 0.3079  6 O 2.04-2.24
Li 0.7558 0.8083 0.1827  5 O 2.02-2.21
Li 0.7579 0.0590 0.9392  6 O 2.08-2.24
Li 0.2442 0.1917 0.8173  5 O 2.02-2.21
Li 0.2421 0.9410 0.0608  6 O 2.08-2.24
Li 0.0000 0.5000 0.0000  6 O 2.10-2.18
Mn 0.0007 0.7491 0.7545  6 O 1.87-2.03
Mn 0.9993 0.2509 0.2455  6 O 1.87-2.03
Co 0.0000 0.0000 0.5000  6 O 1.97-2.07
Co 0.4996 0.1204 0.3741  6 O 1.95-2.09
Co 0.5072 0.3856 0.1196  4 O 1.85-2.07
Co 0.4928 0.6144 0.8804  4 O 1.85-2.07
Co 0.5004 0.8796 0.6259  6 O 1.95-2.09
O 0.8771 0.4367 0.8354  1 Mn 1.87, 1 Li 2.04
O 0.8808 0.6808 0.5993  2 Co 1.97-2.08, 1 Mn 2.03, 2 Li 2.16
O 0.3580 0.5620 0.7173  2 Co 1.97-2.12, 1 Mn 1.98, 2 Li 2.10-2.17
O 0.3759 0.8002 0.4677  3 Co 1.95-2.09, 3 Li 2.13-2.19
O 0.8712 0.9288 0.3454  1 Mn 2.00, 2 Co 2.03-2.05, 3 Li 2.13-2.21
O 0.8726 0.1630 0.1085  1 Mn 1.89, 2 Li 2.02-2.10, 1 Co 2.04
O 0.3974 0.2958 0.9650  2 Co 1.85-2.04, 1 Li 2.08
O 0.3519 0.0597 0.2198  1 Mn 1.94, 2 Co 2.07, 2 Li 2.11-2.16
O 0.6241 0.1998 0.5323  3 Co 1.95-2.09, 3 Li 2.13-2.19
O 0.6420 0.4380 0.2827  2 Co 1.97-2.12, 1 Mn 1.98, 2 Li 2.10-2.17
O 0.1192 0.3192 0.4007  2 Co 1.97-2.08, 1 Mn 2.03, 2 Li 2.16
O 0.1229 0.5633 0.1646  1 Mn 1.87, 1 Li 2.04
O 0.6026 0.7042 0.0350  2 Co 1.85-2.04, 1 Li 2.08
O 0.6481 0.9403 0.7802  1 Mn 1.94, 2 Co 2.07, 2 Li 2.11-2.16
O 0.1288 0.0712 0.6546  1 Mn 2.00, 2 Co 2.03-2.05, 3 Li 2.13-2.21
O 0.1274 0.8370 0.8915  1 Mn 1.89, 2 Li 2.02-2.10, 1 Co 2.04

## Li3MnSi6O15 (PBE with a Hubbard U)

Data for Li3MnSi6O15 after structural relaxation.

Its total energy after the MP2020 corrections is -7.8197 eV/atom. The volume is 1165.3 Å³ per cell. The calculated formation energy comes out at -2953 meV/atom. The value obtained for the mass density is 2.8 g cm⁻³.

abc: 8.0183 9.7260 14.9427
angles: 90.00 90.00 90.00
Closest atoms and distances in Å follow each position.
Fractional coordinates of all 100 atoms:
Li 0.7500 0.0837 0.9338  5 O 2.17-2.27
Li 0.7500 0.4163 0.4338  5 O 2.17-2.27
Li 0.0012 0.5021 0.7581  2 O 1.96-2.02
Li 0.4988 0.5021 0.7581  2 O 1.96-2.02
Li 0.5012 0.4979 0.2419  2 O 1.96-2.02
Li 0.9988 0.4979 0.2419  2 O 1.96-2.02
Li 0.2500 0.5837 0.5662  5 O 2.17-2.27
Li 0.2500 0.9163 0.0662  5 O 2.17-2.27
Li 0.5012 0.0021 0.7419  2 O 1.96-2.02
Li 0.9988 0.0021 0.7419  2 O 1.96-2.02
Li 0.4988 0.9979 0.2581  2 O 1.96-2.02
Li 0.0012 0.9979 0.2581  2 O 1.96-2.02
Mn 0.7500 0.2534 0.7487  6 O 1.93-2.14
Mn 0.7500 0.2466 0.2487  6 O 1.93-2.14
Mn 0.2500 0.7466 0.2513  6 O 1.93-2.14
Mn 0.2500 0.7534 0.7513  6 O 1.93-2.14
Si 0.2500 0.0235 0.5986  4 O 1.60-1.65
Si 0.2500 0.0220 0.4006  4 O 1.60-1.66
Si 0.4380 0.2067 0.8998  4 O 1.60-1.67
Si 0.0620 0.2067 0.8998  4 O 1.60-1.67
Si 0.0599 0.2052 0.1007  4 O 1.59-1.68
Si 0.4401 0.2052 0.1007  4 O 1.59-1.68
Si 0.0599 0.2948 0.6007  4 O 1.59-1.68
Si 0.4380 0.2933 0.3998  4 O 1.60-1.67
Si 0.4401 0.2948 0.6007  4 O 1.59-1.68
Si 0.0620 0.2933 0.3998  4 O 1.60-1.67
Si 0.2500 0.4780 0.9006  4 O 1.60-1.66
Si 0.2500 0.4765 0.0986  4 O 1.60-1.65
Si 0.7500 0.5220 0.0994  4 O 1.60-1.66
Si 0.7500 0.5235 0.9014  4 O 1.60-1.65
Si 0.5620 0.7067 0.6002  4 O 1.60-1.67
Si 0.9380 0.7067 0.6002  4 O 1.60-1.67
Si 0.9401 0.7052 0.3993  4 O 1.59-1.68
Si 0.5599 0.7052 0.3993  4 O 1.59-1.68
Si 0.9401 0.7948 0.8993  4 O 1.59-1.68
Si 0.5620 0.7933 0.1002  4 O 1.60-1.67
Si 0.9380 0.7933 0.1002  4 O 1.60-1.67
Si 0.5599 0.7948 0.8993  4 O 1.59-1.68
Si 0.7500 0.9765 0.4014  4 O 1.60-1.65
Si 0.7500 0.9780 0.5994  4 O 1.60-1.66
O 0.7500 0.0492 0.5002  2 Si 1.64
O 0.7500 0.0820 0.6822  1 Si 1.60
O 0.7500 0.0785 0.3177  1 Si 1.60
O 0.4119 0.1275 0.6074  2 Si 1.65
O 0.0881 0.1275 0.6074  2 Si 1.65
O 0.4128 0.1257 0.3909  2 Si 1.65-1.66
O 0.0872 0.1257 0.3909  2 Si 1.65-1.66
O 0.2500 0.1386 0.8918  2 Si 1.65
O 0.2500 0.1327 0.1018  2 Si 1.68
O 0.9279 0.1477 0.8305  1 Si 1.60
O 0.5721 0.1477 0.8305  1 Si 1.60
O 0.9438 0.1529 0.1799  1 Si 1.59
O 0.5562 0.1529 0.1799  1 Si 1.59
O 0.5169 0.1687 0.0001  2 Si 1.66-1.67
O 0.9831 0.1687 0.0001  2 Si 1.66-1.67
O 0.5169 0.3313 0.5001  2 Si 1.66-1.67
O 0.9831 0.3313 0.5001  2 Si 1.66-1.67
O 0.9279 0.3523 0.3305  1 Si 1.60
O 0.9438 0.3471 0.6799  1 Si 1.59
O 0.5562 0.3471 0.6799  1 Si 1.59
O 0.5721 0.3523 0.3305  1 Si 1.60
O 0.2500 0.3673 0.6018  2 Si 1.68
O 0.2500 0.3614 0.3918  2 Si 1.65
O 0.0872 0.3743 0.8909  2 Si 1.65-1.66
O 0.4128 0.3743 0.8909  2 Si 1.65-1.66
O 0.4119 0.3725 0.1074  2 Si 1.65
O 0.0881 0.3725 0.1074  2 Si 1.65
O 0.7500 0.4215 0.8177  1 Si 1.60
O 0.7500 0.4180 0.1822  1 Si 1.60
O 0.7500 0.4508 0.0002  2 Si 1.64
O 0.2500 0.5492 0.9998  2 Si 1.64
O 0.2500 0.5820 0.8178  1 Si 1.60
O 0.2500 0.5785 0.1823  1 Si 1.60
O 0.9128 0.6257 0.1091  2 Si 1.65-1.66
O 0.5872 0.6257 0.1091  2 Si 1.65-1.66
O 0.9119 0.6275 0.8926  2 Si 1.65
O 0.5881 0.6275 0.8926  2 Si 1.65
O 0.7500 0.6327 0.3982  2 Si 1.68
O 0.7500 0.6386 0.6082  2 Si 1.65
O 0.4438 0.6529 0.3201  1 Si 1.59
O 0.0562 0.6529 0.3201  1 Si 1.59
O 0.4279 0.6477 0.6695  1 Si 1.60
O 0.0721 0.6477 0.6695  1 Si 1.60
O 0.0169 0.6687 0.4999  2 Si 1.66-1.67
O 0.4831 0.6687 0.4999  2 Si 1.66-1.67
O 0.0169 0.8313 0.9999  2 Si 1.66-1.67
O 0.4831 0.8313 0.9999  2 Si 1.66-1.67
O 0.4438 0.8471 0.8201  1 Si 1.59
O 0.4279 0.8523 0.1695  1 Si 1.60
O 0.0562 0.8471 0.8201  1 Si 1.59
O 0.0721 0.8523 0.1695  1 Si 1.60
O 0.7500 0.8673 0.8982  2 Si 1.68
O 0.7500 0.8614 0.1082  2 Si 1.65
O 0.5881 0.8725 0.3926  2 Si 1.65
O 0.5872 0.8743 0.6091  2 Si 1.65-1.66
O 0.9128 0.8743 0.6091  2 Si 1.65-1.66
O 0.9119 0.8725 0.3926  2 Si 1.65
O 0.2500 0.9215 0.6823  1 Si 1.60
O 0.2500 0.9180 0.3178  1 Si 1.60
O 0.2500 0.9508 0.4998  2 Si 1.64

## Ba2V2ZnO8 (PBE with a Hubbard U)

Data for Ba2V2ZnO8 after structural relaxation.

Its total energy after the MP2020 corrections is -7.5805 eV/atom. The volume is 832.2 Å³ per cell. The calculated formation energy comes out at -2746 meV/atom. The value obtained for the mass density is 4.5 g cm⁻³.

abc: 16.4496 6.2705 8.0677
angles: 89.67 90.00 90.00
Closest atoms and distances in Å follow each position.
Fractional coordinates of all 52 atoms:
Ba 0.5425 0.2630 0.6388  8 O 2.70-3.02
Ba 0.0425 0.2370 0.3612  8 O 2.70-3.02
Ba 0.9575 0.7630 0.6388  8 O 2.70-3.02
Ba 0.6293 0.2227 0.1437  6 O 2.66-2.87
Ba 0.1293 0.2773 0.8563  6 O 2.66-2.87
Ba 0.4575 0.7370 0.3612  8 O 2.70-3.02
Ba 0.3707 0.7773 0.8563  6 O 2.66-2.87
Ba 0.8707 0.7227 0.1437  6 O 2.66-2.87
V 0.3303 0.2359 0.5950  4 O 1.71-1.84
V 0.8303 0.2641 0.4050  4 O 1.71-1.84
V 0.9090 0.2464 0.8764  4 O 1.71-1.80
V 0.6697 0.7641 0.4050  4 O 1.71-1.84
V 0.5910 0.7464 0.8764  4 O 1.71-1.80
V 0.0911 0.7536 0.1236  4 O 1.71-1.80
V 0.1697 0.7359 0.5950  4 O 1.71-1.84
V 0.4090 0.2536 0.1236  4 O 1.71-1.80
Zn 0.7500 0.0022 0.7270  4 O 1.97-1.98
Zn 0.2500 0.4978 0.2730  4 O 1.97-1.98
Zn 0.7500 0.5022 0.7270  4 O 1.97-1.98
Zn 0.2500 0.9978 0.2730  4 O 1.97-1.98
O 0.6127 0.5329 0.3968  1 V 1.73
O 0.6464 0.9914 0.8504  1 V 1.80, 1 Zn 1.97
O 0.0236 0.7740 0.2843  1 V 1.71
O 0.7826 0.3137 0.2211  1 V 1.71
O 0.6520 0.5087 0.8689  1 V 1.80, 1 Zn 1.98
O 0.5236 0.7260 0.7157  1 V 1.71
O 0.4764 0.2740 0.2843  1 V 1.71
O 0.2826 0.1863 0.7789  1 V 1.71
O 0.0335 0.7394 0.9477  1 V 1.71
O 0.1464 0.5086 0.1496  1 V 1.80, 1 Zn 1.97
O 0.3994 0.0289 0.5759  1 V 1.73
O 0.1520 0.9913 0.1311  1 V 1.80, 1 Zn 1.98
O 0.3873 0.4671 0.6032  1 V 1.73
O 0.9665 0.2606 0.0523  1 V 1.71
O 0.8873 0.0329 0.3968  1 V 1.73
O 0.2428 0.7467 0.4219  1 V 1.84, 2 Zn 1.98
O 0.4665 0.2394 0.9477  1 V 1.71
O 0.1127 0.9671 0.6032  1 V 1.73
O 0.3480 0.4913 0.1311  1 V 1.80, 1 Zn 1.98
O 0.7428 0.7533 0.5781  1 V 1.84, 2 Zn 1.98
O 0.2572 0.2467 0.4219  1 V 1.84, 2 Zn 1.98
O 0.8994 0.4711 0.4241  1 V 1.73
O 0.2174 0.6863 0.7789  1 V 1.71
O 0.3536 0.0086 0.1496  1 V 1.80, 1 Zn 1.97
O 0.9764 0.2260 0.7157  1 V 1.71
O 0.7572 0.2533 0.5781  1 V 1.84, 2 Zn 1.98
O 0.5335 0.7606 0.0523  1 V 1.71
O 0.8536 0.4914 0.8504  1 V 1.80, 1 Zn 1.97
O 0.8480 0.0087 0.8689  1 V 1.80, 1 Zn 1.98
O 0.6006 0.9711 0.4241  1 V 1.73
O 0.1006 0.5289 0.5759  1 V 1.73
O 0.7174 0.8137 0.2211  1 V 1.71

## Fe4O5F3 (PBE with a Hubbard U)

Data for Fe4O5F3 after structural relaxation.

Its total energy after the MP2020 corrections is -6.6798 eV/atom. The volume is 273.0 Å³ per cell. The calculated formation energy comes out at -1316 meV/atom. The value obtained for the mass density is 4.4 g cm⁻³.

abc: 7.6889 7.6889 7.0482
angles: 62.99 62.99 49.14
Closest atoms and distances in Å follow each position.
Fractional coordinates of all 24 atoms:
Fe 0.2583 0.2583 0.7310  3 O 1.92-1.95, 3 F 2.01-2.11
Fe 0.7417 0.7417 0.2690  3 O 1.92-1.95, 3 F 2.01-2.11
Fe 0.5000 0.5000 0.5000  4 O 1.94-1.98, 2 F 2.07
Fe 0.6233 0.6233 0.8423  5 O 1.98-2.00
Fe 0.1264 0.1264 0.3710  4 O 1.94-1.96
Fe 0.3767 0.3767 0.1577  5 O 1.98-2.00
Fe 0.8736 0.8736 0.6290  4 O 1.94-1.96
Fe 0.0000 0.0000 0.0000  2 O 1.92, 4 F 2.03-2.04
O 0.9458 0.5562 0.7427  3 Fe 1.94-2.00
O 0.0542 0.4438 0.2573  3 Fe 1.94-2.00
O 0.5562 0.9458 0.7427  3 Fe 1.94-2.00
O 0.6198 0.6198 0.5636  3 Fe 1.92-1.99
O 0.3802 0.3802 0.4364  3 Fe 1.92-1.99
O 0.6994 0.3006 0.0000  3 Fe 1.92-1.98
O 0.1904 0.8096 0.5000  3 Fe 1.96-1.98
O 0.4438 0.0542 0.2573  3 Fe 1.94-2.00
O 0.3006 0.6994 0.0000  3 Fe 1.92-1.98
O 0.8096 0.1904 0.5000  3 Fe 1.96-1.98
F 0.6265 0.6265 0.1775  2 Fe 2.01-2.07
F 0.1242 0.1242 0.6843  3 Fe 2.03-2.19
F 0.3735 0.3735 0.8225  2 Fe 2.01-2.07
F 0.1283 0.1283 0.0599  3 Fe 2.04-2.18
F 0.8758 0.8758 0.3157  3 Fe 2.03-2.19
F 0.8717 0.8717 0.9401  3 Fe 2.04-2.18

Look up the calculated formation energy of the fourth one. -1316 meV/atom